# ErGe

A relaxed ErGe crystal (PBE-GGA, the Materials Project database).

Cell and atoms, written as POSCAR:
```
ErGe
1.0
2.125 -5.324 0.000
2.125 5.324 0.000
0.000 0.000 3.931
Ge Er
2 2
direct
0.587 0.413 0.750
0.413 0.587 0.250
0.862 0.138 0.750
0.138 0.862 0.250
```

Computed properties:
Total DFT energy (no corrections), eV/cell: -21.792